Record 1
Material: K3Fe6F19
Method: DFT, GGA+U
State: relaxed

```
data_K3Fe6F19
_chemical_formula_sum 'K24 Fe48 F152'
_symmetry_space_group_name_H-M 'C m c m'
_symmetry_Int_Tables_number 63
_symmetry_space_group_name_Hall '-C 2c 2'
_cell_length_a 7.882
_cell_length_b 18.595
_cell_length_c 22.663
_cell_angle_alpha 90.00
_cell_angle_beta 90.00
_cell_angle_gamma 90.00
loop_
_atom_site_label
_atom_site_type_symbol
_atom_site_fract_x
_atom_site_fract_y
_atom_site_fract_z
K1 K 0.000 0.084 0.064
K2 K 0.000 0.132 0.750
K3 K 0.000 0.360 0.250
K4 K 0.000 0.402 0.550
Fe1 Fe 0.249 0.410 0.109
Fe2 Fe 0.250 0.036 0.250
Fe3 Fe 0.250 0.212 0.166
Fe4 Fe 0.250 0.250 0.000
F1 F 0.000 0.015 0.250
F2 F 0.000 0.076 0.613
F3 F 0.000 0.230 0.176
F4 F 0.000 0.264 0.507
F5 F 0.000 0.301 0.655
F6 F 0.000 0.392 0.110
F7 F 0.000 0.452 0.750
F8 F 0.215 0.262 0.750
F9 F 0.220 0.112 0.182
F10 F 0.221 0.183 0.654
F11 F 0.221 0.193 0.082
F12 F 0.228 0.499 0.069
F13 F 0.229 0.451 0.188
F14 F 0.231 0.142 0.535
```

Computed properties:
- Volume: 3321.7 Å³/cell
- Total energy: -5.176 eV per atom
- ΔH_f (0 K): -2.74 eV per atom
- Magnetic moment: 224.034 Bohr magnetons per cell


Record 2
Material: Ba3NaMn4Si6O22F
Method: DFT, GGA+U
State: relaxed

```
data_Ba3NaMn4Si6O22F
_chemical_formula_sum 'Ba12 Na4 Mn16 Si24 O88 F4'
_symmetry_space_group_name_H-M 'P n m a'
_symmetry_Int_Tables_number 62
_symmetry_space_group_name_Hall '-P 2ac 2n'
_cell_length_a 23.107
_cell_length_b 12.865
_cell_length_c 7.090
_cell_angle_alpha 90.00
_cell_angle_beta 90.00
_cell_angle_gamma 90.00
loop_
_atom_site_label
_atom_site_type_symbol
_atom_site_fract_x
_atom_site_fract_y
_atom_site_fract_z
Ba1 Ba 0.004 0.250 0.016
Ba2 Ba 0.201 0.010 0.518
Na1 Na 0.094 0.750 0.385
Mn1 Mn 0.153 0.622 0.007
Mn2 Mn 0.158 0.116 0.006
Si1 Si 0.061 0.009 0.249
Si2 Si 0.063 0.034 0.694
Si3 Si 0.238 0.750 0.332
Si4 Si 0.240 0.750 0.732
O1 O 0.003 0.750 0.531
O2 O 0.008 0.541 0.764
O3 O 0.045 0.152 0.718
O4 O 0.080 0.504 0.474
O5 O 0.081 0.602 0.152
O6 O 0.092 0.112 0.153
O7 O 0.123 0.006 0.810
O8 O 0.186 0.750 0.178
O9 O 0.190 0.510 0.131
O10 O 0.191 0.250 0.153
O11 O 0.200 0.750 0.534
O12 O 0.222 0.143 0.829
O13 O 0.225 0.642 0.842
F1 F 0.116 0.750 0.884
```

Computed properties:
- Volume: 2107.7 Å³/cell
- Total energy: -7.209 eV per atom
- ΔH_f (0 K): -2.75 eV per atom
- Magnetic moment: 72.000 Bohr magnetons per cell


Record 3
Material: AlFe4Cu3O12
Method: DFT, GGA+U
State: relaxed

```
data_AlFe4Cu3O12
_chemical_formula_sum 'Al2 Fe8 Cu6 O24'
_symmetry_space_group_name_H-M 'I m -3'
_symmetry_Int_Tables_number 204
_symmetry_space_group_name_Hall '-I 2 2 3'
_cell_length_a 7.418
_cell_length_b 7.418
_cell_length_c 7.418
_cell_angle_alpha 90.00
_cell_angle_beta 90.00
_cell_angle_gamma 90.00
loop_
_atom_site_label
_atom_site_type_symbol
_atom_site_fract_x
_atom_site_fract_y
_atom_site_fract_z
Al1 Al 0.000 0.000 0.000
Fe1 Fe 0.250 0.250 0.250
Cu1 Cu 0.000 0.000 0.500
O1 O 0.000 0.305 0.162
```

Computed properties:
- Volume: 408.2 Å³/cell
- Total energy: -5.922 eV per atom
- ΔH_f (0 K): -1.32 eV per atom
- Magnetic moment: 39.931 Bohr magnetons per cell


Record 4
Material: Ta2CrNO5
Method: DFT, GGA+U
State: relaxed

```
data_Ta2CrNO5
_chemical_formula_sum 'Ta8 Cr4 N4 O20'
_symmetry_space_group_name_H-M 'C 1 2/m 1'
_symmetry_Int_Tables_number 12
_symmetry_space_group_name_Hall '-C 2y'
_cell_length_a 6.764
_cell_length_b 6.735
_cell_length_c 9.218
_cell_angle_alpha 90.00
_cell_angle_beta 90.39
_cell_angle_gamma 90.00
loop_
_atom_site_label
_atom_site_type_symbol
_atom_site_fract_x
_atom_site_fract_y
_atom_site_fract_z
Ta1 Ta 0.008 0.000 0.326
Ta2 Ta 0.014 0.500 0.831
Cr1 Cr 0.000 0.000 0.000
Cr2 Cr 0.000 0.500 0.500
N1 N 0.199 0.000 0.169
O1 O 0.000 0.308 0.000
O2 O 0.003 0.304 0.333
O3 O 0.195 0.000 0.498
O4 O 0.196 0.000 0.829
```

Computed properties:
- Relative energy among the computed polymorphs: 12 meV per atom
- Volume: 419.9 Å³/cell
- Total energy: -9.412 eV per atom
- ΔH_f (0 K): -2.63 eV per atom
- Magnetic moment: 0.000 Bohr magnetons per cell


Record 5
Material: Nb2Co4O9
Method: DFT, GGA+U
State: relaxed

```
data_Nb2Co4O9
_chemical_formula_sum 'Nb4 Co8 O18'
_symmetry_space_group_name_H-M 'P 1'
_symmetry_Int_Tables_number 1
_symmetry_space_group_name_Hall 'P 1'
_cell_length_a 5.225
_cell_length_b 5.226
_cell_length_c 14.299
_cell_angle_alpha 90.02
_cell_angle_beta 90.01
_cell_angle_gamma 119.99
loop_
_atom_site_label
_atom_site_type_symbol
_atom_site_fract_x
_atom_site_fract_y
_atom_site_fract_z
Nb1 Nb 0.000 0.000 0.000
Nb2 Nb 0.000 0.000 0.283
Nb3 Nb 0.000 0.001 0.500
Nb4 Nb 0.001 0.000 0.783
Co1 Co 0.333 0.666 0.836
Co2 Co 0.333 0.667 0.127
Co3 Co 0.334 0.665 0.630
Co4 Co 0.334 0.667 0.336
Co5 Co 0.667 0.333 0.157
Co6 Co 0.667 0.333 0.655
Co7 Co 0.667 0.333 0.948
Co8 Co 0.667 0.334 0.447
O1 O 0.000 0.290 0.391
O2 O 0.000 0.710 0.891
O3 O 0.022 0.343 0.726
O4 O 0.022 0.678 0.225
O5 O 0.290 0.000 0.392
O6 O 0.290 0.290 0.891
O7 O 0.322 0.343 0.225
O8 O 0.322 0.979 0.725
O9 O 0.342 0.323 0.558
O10 O 0.344 0.022 0.058
O11 O 0.656 0.678 0.726
O12 O 0.657 0.978 0.225
O13 O 0.677 0.021 0.557
O14 O 0.678 0.656 0.058
O15 O 0.710 0.000 0.891
O16 O 0.711 0.710 0.391
O17 O 0.978 0.322 0.058
O18 O 0.978 0.657 0.558
```

Computed properties:
- Relative energy among the computed polymorphs: 0 meV per atom
- Volume: 338.1 Å³/cell
- Total energy: -7.467 eV per atom
- ΔH_f (0 K): -2.10 eV per atom


Record 6
Material: KUVO6
Method: DFT, GGA+U
State: relaxed

```
data_KUVO6
_chemical_formula_sum 'K4 U4 V4 O24'
_symmetry_space_group_name_H-M 'P 1 21/c 1'
_symmetry_Int_Tables_number 14
_symmetry_space_group_name_Hall '-P 2ybc'
_cell_length_a 7.085
_cell_length_b 8.527
_cell_length_c 10.720
_cell_angle_alpha 90.00
_cell_angle_beta 90.01
_cell_angle_gamma 90.00
loop_
_atom_site_label
_atom_site_type_symbol
_atom_site_fract_x
_atom_site_fract_y
_atom_site_fract_z
K1 K 0.021 0.244 0.208
U1 U 0.499 0.514 0.181
V1 V 0.405 0.149 0.958
O1 O 0.174 0.140 0.970
O2 O 0.241 0.537 0.181
O3 O 0.242 0.511 0.815
O4 O 0.451 0.216 0.795
O5 O 0.478 0.157 0.511
O6 O 0.496 0.552 0.395
```

Computed properties:
- Relative energy among the computed polymorphs: 0 meV per atom
- Volume: 647.6 Å³/cell
- Total energy: -8.029 eV per atom
- ΔH_f (0 K): -2.99 eV per atom
- Magnetic moment: 0.000 Bohr magnetons per cell


Record 7
Material: Be2CoN2O6F8
Method: DFT, GGA+U
State: relaxed

```
data_Be2CoN2O6F8
_chemical_formula_sum 'Be4 Co2 N4 O12 F16'
_symmetry_space_group_name_H-M 'P 1 21/c 1'
_symmetry_Int_Tables_number 14
_symmetry_space_group_name_Hall '-P 2ybc'
_cell_length_a 5.513
_cell_length_b 12.835
_cell_length_c 9.992
_cell_angle_alpha 90.00
_cell_angle_beta 107.78
_cell_angle_gamma 90.00
loop_
_atom_site_label
_atom_site_type_symbol
_atom_site_fract_x
_atom_site_fract_y
_atom_site_fract_z
Be1 Be 0.248 0.130 0.331
Co1 Co 0.500 0.000 0.000
N1 N 0.015 0.180 0.554
O1 O 0.219 0.063 0.010
O2 O 0.373 0.607 0.387
O3 O 0.397 0.586 0.611
F1 F 0.086 0.043 0.291
F2 F 0.103 0.218 0.440
F3 F 0.191 0.108 0.616
F4 F 0.477 0.181 0.335
```

Computed properties:
- Volume: 673.3 Å³/cell
- Total energy: -4.392 eV per atom
- ΔH_f (0 K): -0.88 eV per atom
- Magnetic moment: 21.998 Bohr magnetons per cell


Repeat the second record exactly.
Material: Ba3NaMn4Si6O22F
Method: DFT, GGA+U
State: relaxed

```
data_Ba3NaMn4Si6O22F
_chemical_formula_sum 'Ba12 Na4 Mn16 Si24 O88 F4'
_symmetry_space_group_name_H-M 'P n m a'
_symmetry_Int_Tables_number 62
_symmetry_space_group_name_Hall '-P 2ac 2n'
_cell_length_a 23.107
_cell_length_b 12.865
_cell_length_c 7.090
_cell_angle_alpha 90.00
_cell_angle_beta 90.00
_cell_angle_gamma 90.00
loop_
_atom_site_label
_atom_site_type_symbol
_atom_site_fract_x
_atom_site_fract_y
_atom_site_fract_z
Ba1 Ba 0.004 0.250 0.016
Ba2 Ba 0.201 0.010 0.518
Na1 Na 0.094 0.750 0.385
Mn1 Mn 0.153 0.622 0.007
Mn2 Mn 0.158 0.116 0.006
Si1 Si 0.061 0.009 0.249
Si2 Si 0.063 0.034 0.694
Si3 Si 0.238 0.750 0.332
Si4 Si 0.240 0.750 0.732
O1 O 0.003 0.750 0.531
O2 O 0.008 0.541 0.764
O3 O 0.045 0.152 0.718
O4 O 0.080 0.504 0.474
O5 O 0.081 0.602 0.152
O6 O 0.092 0.112 0.153
O7 O 0.123 0.006 0.810
O8 O 0.186 0.750 0.178
O9 O 0.190 0.510 0.131
O10 O 0.191 0.250 0.153
O11 O 0.200 0.750 0.534
O12 O 0.222 0.143 0.829
O13 O 0.225 0.642 0.842
F1 F 0.116 0.750 0.884
```

Computed properties:
- Volume: 2107.7 Å³/cell
- Total energy: -7.209 eV per atom
- ΔH_f (0 K): -2.75 eV per atom
- Magnetic moment: 72.000 Bohr magnetons per cell


Q: What is the total energy in the second record?
A: -7.209 eV per atom


Q: Which formula does entry 4 have?
A: Ta2CrNO5